Entry from the Materials Project database: an optimized crystal structure of Co2TeSO8 (GGA+U).

Output
The value obtained for the size of the total moment is 24.00 μB/cell. The energy is -5.777 eV per atom. As for the symmetry: Pbcm (57). As for the energy of formation: -1642.1 kJ/mol of formula units.

CIF file:
```
data_Co2TeSO8
_space_group_name_H-M_alt 'P 1'
_space_group_IT_number 1
_space_group_name_Hall 'P 1'
_cell_length_a 7.303
_cell_length_b 8.456
_cell_length_c 10.139
_cell_angle_alpha 90.00
_cell_angle_beta 90.00
_cell_angle_gamma 90.00
loop_
_atom_site_label
_atom_site_fract_x
_atom_site_fract_y
_atom_site_fract_z
Co1 0.686 0.049 0.918
Co2 0.314 0.049 0.418
Co3 0.314 0.451 0.418
Co4 0.686 0.951 0.582
Co5 0.686 0.451 0.918
Co6 0.314 0.951 0.082
Co7 0.314 0.549 0.082
Co8 0.686 0.549 0.582
O1 0.845 0.893 0.021
O2 0.865 0.250 0.966
O3 0.135 0.250 0.466
O4 0.449 0.082 0.600
O5 0.564 0.750 0.661
O6 0.243 0.000 0.250
O7 0.243 0.500 0.250
O8 0.449 0.418 0.600
O9 0.757 0.500 0.750
O10 0.965 0.750 0.828
O11 0.845 0.393 0.479
O12 0.551 0.082 0.100
O13 0.551 0.582 0.400
O14 0.155 0.607 0.521
O15 0.564 0.250 0.839
O16 0.757 0.000 0.750
O17 0.436 0.250 0.339
O18 0.965 0.250 0.672
O19 0.551 0.918 0.400
O20 0.155 0.893 0.521
O21 0.155 0.107 0.979
O22 0.155 0.393 0.979
O23 0.449 0.582 0.900
O24 0.035 0.750 0.328
O25 0.845 0.607 0.021
O26 0.845 0.107 0.479
O27 0.135 0.750 0.034
O28 0.035 0.250 0.172
O29 0.551 0.418 0.100
O30 0.436 0.750 0.161
O31 0.449 0.918 0.900
O32 0.865 0.750 0.534
Te1 0.629 0.250 0.214
Te2 0.371 0.250 0.714
Te3 0.371 0.750 0.786
Te4 0.629 0.750 0.286
S1 0.056 0.750 0.470
S2 0.944 0.750 0.970
S3 0.944 0.250 0.530
S4 0.056 0.250 0.030
```